Material: UCoSe3
Method: DFT, PBE
State: relaxed

Summary:
Calculated density in g/cm³: 8.90
SG: Pnma (62)
Total DFT energy (no corrections) in eV per cell: -129.30
Magnetic moment in Bohr magnetons per cell: 0.3

Cell lengths 6.228, 7.166, 8.923 Å; angles 90.00, 90.00, 90.00 degrees
Fractional coordinates of all 20 atoms:
U 0.428 0.868 0.250
Se 0.846 0.036 0.250
U 0.072 0.368 0.250
Se 0.344 0.180 0.051
Se 0.844 0.320 0.551
U 0.572 0.132 0.750
Se 0.154 0.964 0.750
Se 0.346 0.464 0.750
Se 0.844 0.320 0.949
Co 0.000 0.000 0.500
Se 0.654 0.536 0.250
Co 0.500 0.500 0.000
Co 0.000 0.000 0.000
Se 0.656 0.820 0.551
Se 0.656 0.820 0.949
Se 0.156 0.680 0.051
U 0.928 0.632 0.750
Co 0.500 0.500 0.500
Se 0.156 0.680 0.449
Se 0.344 0.180 0.449